Entry 1:
A plane-wave DFT calculation with PBE was carried out for Tl2GeTe3 after structural relaxation.

```
Tl2GeTe3
1.0
8.557 0.000 0.000
0.000 22.008 0.000
0.000 0.000 8.774
Tl Ge Te
16 8 24
direct
0.178 0.168 0.021 Tl
0.178 0.332 0.021 Tl
0.230 0.007 0.954 Tl
0.230 0.493 0.954 Tl
0.270 0.507 0.454 Tl
0.270 0.993 0.454 Tl
0.322 0.668 0.521 Tl
0.322 0.832 0.521 Tl
0.678 0.168 0.479 Tl
0.678 0.332 0.479 Tl
0.730 0.007 0.546 Tl
0.730 0.493 0.546 Tl
0.770 0.507 0.046 Tl
0.770 0.993 0.046 Tl
0.822 0.668 0.979 Tl
0.822 0.832 0.979 Tl
0.174 0.169 0.515 Ge
0.174 0.331 0.515 Ge
0.326 0.669 0.015 Ge
0.326 0.831 0.015 Ge
0.674 0.169 0.985 Ge
0.674 0.331 0.985 Ge
0.826 0.669 0.485 Ge
0.826 0.831 0.485 Ge
0.003 0.250 0.674 Te
0.015 0.093 0.338 Te
0.015 0.407 0.338 Te
0.126 0.610 0.187 Te
0.126 0.890 0.187 Te
0.168 0.750 0.845 Te
0.332 0.250 0.345 Te
0.374 0.110 0.687 Te
0.374 0.390 0.687 Te
0.485 0.593 0.838 Te
0.485 0.907 0.838 Te
0.497 0.750 0.174 Te
0.503 0.250 0.826 Te
0.515 0.093 0.162 Te
0.515 0.407 0.162 Te
0.626 0.610 0.313 Te
0.626 0.890 0.313 Te
0.668 0.750 0.655 Te
0.832 0.250 0.155 Te
0.874 0.110 0.813 Te
0.874 0.390 0.813 Te
0.985 0.593 0.662 Te
0.985 0.907 0.662 Te
0.997 0.750 0.326 Te
```

Values from the calculation:
As for the space-group type: Pnma (62). Its formation energy is -0.4216 eV/atom. For the total energy, the calculation gives -160.33 eV/cell.

Entry 2:
A plane-wave DFT calculation with PBE was carried out for Na9Zr8Si4P8O48 after structural relaxation.

```
Na9Zr8Si4P8O48
1.0
9.095 0.000 0.000
4.506 8.202 0.000
0.160 5.161 14.969
Na Zr Si P O
9 8 4 8 48
direct
0.000 0.000 0.000 Na
0.001 0.522 0.254 Na
0.054 0.302 0.103 Na
0.391 0.017 0.813 Na
0.452 0.060 0.503 Na
0.507 0.536 0.753 Na
0.597 0.295 0.632 Na
0.658 0.810 0.358 Na
0.910 0.036 0.312 Na
0.206 0.848 0.202 Zr
0.241 0.735 0.549 Zr
0.449 0.355 0.958 Zr
0.496 0.247 0.289 Zr
0.711 0.844 0.707 Zr
0.749 0.722 0.048 Zr
0.955 0.348 0.460 Zr
0.970 0.252 0.774 Zr
0.156 0.548 0.759 Si
0.204 0.545 0.110 Si
0.652 0.557 0.260 Si
0.667 0.632 0.564 Si
0.218 0.542 0.399 P
0.226 0.066 0.350 P
0.251 0.995 0.643 P
0.307 0.047 0.003 P
0.728 0.531 0.898 P
0.730 0.055 0.856 P
0.753 0.001 0.148 P
0.799 0.048 0.499 P
0.007 0.592 0.087 O
0.055 0.404 0.687 O
0.070 0.504 0.407 O
0.081 0.238 0.356 O
0.149 0.050 0.721 O
0.152 0.717 0.322 O
0.168 0.160 0.552 O
0.171 0.046 0.263 O
0.175 0.352 0.770 O
0.196 0.710 0.129 O
0.205 0.031 0.083 O
0.210 0.059 0.920 O
0.244 0.594 0.672 O
0.248 0.913 0.430 O
0.271 0.555 0.487 O
0.273 0.377 0.202 O
0.274 0.515 0.845 O
0.317 0.496 0.034 O
0.324 0.207 0.995 O
0.372 0.395 0.375 O
0.397 0.067 0.349 O
0.430 0.983 0.667 O
0.458 0.706 0.249 O
0.487 0.883 0.028 O
0.498 0.612 0.576 O
0.559 0.401 0.193 O
0.581 0.217 0.867 O
0.581 0.493 0.909 O
0.653 0.167 0.063 O
0.656 0.714 0.827 O
0.667 0.043 0.237 O
0.672 0.357 0.277 O
0.673 0.037 0.769 O
0.692 0.069 0.415 O
0.702 0.037 0.580 O
0.708 0.698 0.639 O
0.743 0.588 0.173 O
0.760 0.358 0.702 O
0.762 0.896 0.937 O
0.767 0.535 0.345 O
0.787 0.536 0.990 O
0.825 0.489 0.534 O
0.826 0.204 0.483 O
0.879 0.393 0.870 O
0.896 0.062 0.856 O
0.931 0.998 0.167 O
0.961 0.702 0.746 O
0.973 0.883 0.515 O
```

Values from the calculation:
As for the space-group type: P1 (1). Its formation energy is -2.7824 eV/atom. For the total energy, the calculation gives -574.72 eV/cell.

Entry 3:
A plane-wave DFT calculation with PBE was carried out for KCN after structural relaxation.

```
KCN
1.0
-2.197 2.890 2.641
2.197 -2.890 2.641
2.197 2.890 -2.641
K C N
1 1 1
direct
0.000 0.000 0.000 K
0.597 0.097 0.500 C
0.374 0.874 0.500 N
```

Values from the calculation:
As for the space-group type: Imm2 (44). The maximum piezoelectric response comes out at 0.09 C/m2. Its formation energy is -0.3748 eV/atom. For the total energy, the calculation gives -19.44 eV/cell.